# 1
Computed, not measured: a geometry-optimized Li7Mn5O12 structure at the PBE with a Hubbard U level of DFT.

Unit cell a=5.8236 b=6.0059 c=14.4591 alpha=93.73 beta=90.41 gamma=118.94
Last column: nearest neighbours and their distance in Å.
Sites, in units of the cell vectors:
1 Mn 0.6668 0.3334 0.6667  6 O 1.95
2 O 0.8226 0.6182 0.5881  2 Mn 1.93-1.95, 2 Li 2.06-2.07
3 O 0.6891 0.8401 0.9128  2 Mn 1.96-1.98, 2 Li 2.11-2.17
4 O 0.6615 0.2909 0.4278  3 Mn 1.98-2.01, 2 Li 2.12-2.14
5 Mn 0.3370 0.1701 0.8315  4 O 1.93-1.98
6 Mn 0.9912 0.9873 0.0036  5 O 1.94-2.15
7 Li 0.1685 0.3366 0.6663  4 O 2.12-2.16
8 O 0.6441 0.8262 0.4206  2 Mn 1.96-1.98, 2 Li 2.11-2.17
9 O 0.0117 0.0449 0.2457  2 Mn 1.96-1.97, 4 Li 2.04-2.17
10 Mn 0.8292 0.1669 0.3309  4 O 1.88-2.01
11 Li 0.4848 0.9681 0.0160  5 O 2.08-2.23
12 O 0.0277 0.5126 0.2466  2 Mn 1.96, 3 Li 2.09-2.13
13 O 0.5304 0.5165 0.7447  2 Mn 1.95-1.97, 2 Li 2.09-2.12
14 Li 0.3424 0.1797 0.3290  5 O 2.02-2.19
15 Mn 0.5039 0.4994 0.0023  4 O 1.88-2.01
16 O 0.4781 0.5009 0.2509  2 Mn 1.94-1.96, 3 Li 2.08-2.15
17 Li 0.6668 0.3335 0.1666  6 O 2.13-2.18
18 O 0.0000 0.9779 0.7614  2 Mn 1.92-1.96, 3 Li 2.06-2.13
19 O 0.1958 0.3377 0.9147  2 Mn 1.95-1.97, 2 Li 2.10-2.13
20 Li 0.1664 0.8333 0.1667  6 O 2.12-2.16
21 O 0.1463 0.8291 0.9153  2 Mn 1.93-2.01, 1 Li 2.07
22 Li 0.1666 0.8337 0.6666  6 O 2.06-2.20
23 O 0.1869 0.8371 0.4181  2 Mn 1.93-2.01, 1 Li 2.07
24 Mn 0.9960 0.4961 0.5018  4 O 1.93-1.98
25 O 0.1371 0.3287 0.4187  2 Mn 1.95-1.97, 2 Li 2.10-2.13
26 O 0.8125 0.6508 0.0787  1 Mn 1.88, 2 Li 2.02-2.07
27 Li 0.0089 0.0083 0.4959  5 O 2.07-2.20
28 O 0.5207 0.0157 0.2546  1 Mn 1.88, 2 Li 2.02-2.07
29 O 0.3056 0.1541 0.0867  2 Mn 1.96, 3 Li 2.09-2.13
30 Li 0.4961 0.4935 0.4998  6 O 2.07-2.19
31 Mn 0.8423 0.6801 0.8303  6 O 1.92-2.01
32 O 0.8553 0.1659 0.0824  2 Mn 1.94-1.96, 3 Li 2.08-2.15
33 Li 0.6675 0.8338 0.6667  6 O 2.08-2.18
34 Li 0.8373 0.1730 0.8335  6 O 2.07-2.19
35 O 0.3328 0.6879 0.5722  2 Mn 1.92-1.96, 3 Li 2.06-2.14
36 O 0.9782 0.5023 0.7503  2 Mn 1.94-1.95, 2 Li 2.13-2.15
37 Mn 0.4909 0.9862 0.5031  6 O 1.92-2.01
38 O 0.3217 0.6219 0.0876  2 Mn 1.96-1.97, 4 Li 2.04-2.16
39 O 0.8028 0.1502 0.5887  2 Mn 1.95-1.97, 2 Li 2.08-2.13
40 Mn 0.3421 0.6794 0.3297  5 O 1.94-2.15
41 Li 0.3247 0.6584 0.8376  5 O 2.07-2.20
42 Li 0.6667 0.8333 0.1667  6 O 2.06-2.21
43 Li 0.9909 0.4869 0.0042  5 O 2.02-2.19
44 Mn 0.1667 0.3335 0.1666  6 O 1.96-1.97
45 O 0.5105 0.0483 0.7453  2 Mn 1.93-1.95, 2 Li 2.06-2.07
46 O 0.6714 0.3752 0.9055  3 Mn 1.98-2.01, 2 Li 2.12-2.14
47 O 0.3551 0.1642 0.5831  2 Mn 1.94-1.95, 2 Li 2.12-2.16
48 Li 0.8482 0.6981 0.3176  5 O 2.08-2.23

Computed properties:
SG ... P1
Energy of formation ... -2.1356 eV/atom

---

# 2
Computed, not measured: a geometry-optimized MgTi2Co4O8 structure at the PBE with a Hubbard U level of DFT.

Unit cell a=5.9812 b=5.9820 c=6.3356 alpha=61.97 beta=62.10 gamma=59.62
Last column: nearest neighbours and their distance in Å.
Sites, in units of the cell vectors:
1 O 0.3634 0.3640 0.4110  2 Ti 2.06, 1 Mg 2.09, 1 Co 2.24
2 O 0.3920 0.3912 0.8133  2 Co 1.87-2.04, 2 Ti 1.97
3 Co 0.9788 0.9787 0.0869  1 O 1.87
4 Co 0.2713 0.2720 0.1632  1 O 1.87
5 Co 0.6249 0.6250 0.6250  6 O 2.04-2.14
6 O 0.3944 0.8958 0.8483  1 Ti 2.01, 1 Mg 2.13, 3 Co 2.14-2.22
7 Ti 0.6250 0.1249 0.6252  6 O 1.97-2.06
8 Mg 0.1250 0.1249 0.6250  6 O 2.08-2.13
9 Co 0.6251 0.6249 0.1248  6 O 2.22-2.31
10 O 0.8866 0.8859 0.8390  2 Ti 2.06, 1 Mg 2.08, 1 Co 2.24
11 O 0.3530 0.8563 0.4024  1 Ti 2.01, 1 Mg 2.13, 3 Co 2.14-2.23
12 O 0.8556 0.3540 0.4018  1 Ti 2.01, 1 Mg 2.13, 3 Co 2.14-2.22
13 Ti 0.1251 0.6250 0.6248  6 O 1.97-2.06
14 O 0.8969 0.3937 0.8474  1 Ti 2.01, 1 Mg 2.13, 3 Co 2.14-2.23
15 O 0.8577 0.8587 0.4368  2 Co 1.87-2.04, 2 Ti 1.97

Computed properties:
SG ... P-1
Energy of formation ... -2.0296 eV/atom

---

# 3
Computed, not measured: a geometry-optimized Sm4MgTi2Mn2O12 structure at the PBE with a Hubbard U level of DFT.

Unit cell a=5.8161 b=5.9989 c=8.0771 alpha=87.20 beta=85.00 gamma=91.18
Last column: nearest neighbours and their distance in Å.
Sites, in units of the cell vectors:
1 O 0.3294 0.7541 0.5993  1 Ti 2.01, 1 Mg 2.10
2 O 0.5979 0.0731 0.7610  1 Mg 1.93, 1 Mn 2.15
3 O 0.7494 0.3322 0.0868  1 Ti 1.96, 1 Mn 2.03
4 Mn 0.9825 0.4319 0.5007  4 O 2.07-2.19
5 O 0.6309 0.3244 0.4581  1 Ti 1.97, 1 Mn 2.19
6 O 0.3889 0.9538 0.2551  1 Ti 1.98, 1 Mn 2.12
7 O 0.1812 0.1691 0.5953  1 Ti 2.10, 1 Mn 2.12, 1 Mg 2.30, 1 Sm 2.32
8 O 0.7768 0.8454 0.4008  1 Ti 2.14, 1 Sm 2.21
9 Sm 0.4643 0.4339 0.7433  6 O 2.32-2.54
10 Sm 0.8923 0.8957 0.6500  4 O 2.18-2.32
11 O 0.3201 0.6730 0.9582  1 Ti 1.98, 1 Mg 1.98
12 O 0.2211 0.2081 0.9500  1 Mg 2.02
13 Mn 0.5814 0.0512 0.0278  4 O 2.03-2.15
14 O 0.8427 0.8115 0.0374  1 Ti 2.04, 1 Mn 2.12
15 O 0.8679 0.5381 0.7471  1 Mn 2.17, 2 Sm 2.25-2.42, 1 Ti 2.26
16 Ti 0.0132 0.5228 0.9977  3 O 1.96-2.04
17 Sm 0.5216 0.5821 0.2399  5 O 2.35-2.61
18 Sm 0.0321 0.0673 0.2012  6 O 2.27-2.51
19 Ti 0.4765 0.0274 0.4778  5 O 1.97-2.14
20 Mg 0.2917 0.9433 0.8116  4 O 1.93-2.10
21 O 0.1383 0.4449 0.2593  1 Mn 2.07

Computed properties:
SG ... P1
Energy of formation ... -3.0735 eV/atom

---

# 4
Computed, not measured: a geometry-optimized MgFe4P4O16 structure at the PBE with a Hubbard U level of DFT.

Unit cell a=10.0819 b=5.9315 c=5.0392 alpha=90.00 beta=88.90 gamma=90.00
Last column: nearest neighbours and their distance in Å.
Sites, in units of the cell vectors:
1 O 0.9015 0.7500 0.2868  1 P 1.55
2 O 0.6652 0.4503 0.2586  1 P 1.58
3 O 0.5527 0.7500 0.8368  1 P 1.50
4 O 0.3835 0.7500 0.2187  1 P 1.52
5 Fe 0.7662 0.2500 0.5426  6 O 1.93-2.13
6 O 0.9409 0.2500 0.3469  1 P 1.52
7 O 0.6652 0.0497 0.2586  1 P 1.58
8 O 0.1539 0.4572 0.2166  1 P 1.60
9 O 0.1365 0.2500 0.6641  1 P 1.52
10 O 0.0514 0.7500 0.6813  1 P 1.58
11 P 0.9018 0.7500 0.5938  4 O 1.55-1.58
12 O 0.8317 0.9570 0.7212  1 P 1.55
13 Fe 0.7173 0.7500 0.0630  4 O 2.03-2.19
14 Fe 0.2825 0.2500 0.9385  4 O 1.97-2.04
15 O 0.4439 0.2500 0.1524  1 P 1.54
16 Fe 0.2446 0.7500 0.4889  4 O 1.93-2.16
17 Mg 0.0669 0.7500 0.0707  4 O 1.97-2.09
18 O 0.3303 0.5470 0.7861  1 P 1.60
19 O 0.3303 0.9530 0.7861  1 P 1.60
20 O 0.6275 0.2500 0.8117  1 P 1.53
21 P 0.0905 0.2500 0.3778  4 O 1.52-1.60
22 P 0.5959 0.2500 0.1099  4 O 1.53-1.58
23 O 0.8317 0.5430 0.7213  1 P 1.55
24 P 0.4091 0.7500 0.9207  4 O 1.50-1.60
25 O 0.1539 0.0428 0.2166  1 P 1.60

Computed properties:
SG ... Pm
Energy of formation ... -2.3821 eV/atom

---

# 5
Computed, not measured: a geometry-optimized CaNdFeSnO6 structure at the PBE with a Hubbard U level of DFT.

Unit cell a=5.6548 b=5.6548 c=5.6548 alpha=60.00 beta=60.00 gamma=60.00
Last column: nearest neighbours and their distance in Å.
Sites, in units of the cell vectors:
1 O 0.7533 0.7533 0.2467  1 Fe 1.97, 1 Sn 2.03
2 O 0.2467 0.2467 0.7533  1 Fe 1.97, 1 Sn 2.03
3 O 0.2467 0.7533 0.2467  1 Fe 1.97, 1 Sn 2.03
4 O 0.7533 0.2467 0.7533  1 Fe 1.97, 1 Sn 2.03
5 Ca 0.7500 0.7500 0.7500  12 O 2.83
6 Sn 0.5000 0.5000 0.5000  6 O 2.03
7 Fe 0.0000 0.0000 0.0000  6 O 1.97
8 O 0.2467 0.7533 0.7533  1 Fe 1.97, 1 Sn 2.03
9 Nd 0.2500 0.2500 0.2500  12 O 2.83
10 O 0.7533 0.2467 0.2467  1 Fe 1.97, 1 Sn 2.03

Computed properties:
SG ... F-43m
Energy of formation ... -2.5431 eV/atom

---

# 6
Computed, not measured: a geometry-optimized TiFe2O4 structure at the PBE with a Hubbard U level of DFT.

Unit cell a=6.1822 b=6.1822 c=20.1555 alpha=82.83 beta=82.83 gamma=58.39
Last column: nearest neighbours and their distance in Å.
Sites, in units of the cell vectors:
1 O 0.5402 0.5402 0.8257  1 Ti 1.94, 3 Fe 2.07-2.12
2 Fe 0.6632 0.6632 0.5274  4 O 1.99-2.07
3 O 0.4700 0.9121 0.1877  2 Ti 1.92-2.13, 1 Fe 2.06
4 Ti 0.7478 0.7478 0.2446  6 O 1.92-2.12
5 Fe 0.4966 0.4966 0.0013  6 O 2.03-2.22
6 O 0.5914 0.5914 0.3085  1 Ti 1.97, 3 Fe 2.03-2.09
7 Fe 0.9122 0.9122 0.7796  4 O 2.02-2.07
8 O 0.8396 0.2865 0.5630  2 Ti 1.94-2.12, 1 Fe 2.06
9 Fe 0.3360 0.3360 0.4712  4 O 2.03-2.07
10 O 0.1639 0.1639 0.4416  1 Ti 2.00, 3 Fe 2.03-2.09
11 O 0.9140 0.9140 0.1898  1 Ti 1.97, 3 Fe 2.05-2.09
12 O 0.1651 0.7164 0.4377  2 Ti 1.93-2.13, 1 Fe 2.07
13 O 0.4123 0.9638 0.6887  2 Ti 1.94-2.12, 1 Fe 2.07
14 Fe 0.5845 0.5845 0.7226  4 O 2.02-2.07
15 O 0.2865 0.8396 0.5630  2 Ti 1.94-2.12, 1 Fe 2.06
16 O 0.0375 0.5914 0.3126  2 Ti 1.94-2.12, 1 Fe 2.04
17 Ti 0.8743 0.8743 0.3695  6 O 1.94-2.13
18 O 0.4566 0.4566 0.1828  1 Ti 1.85, 1 Fe 2.01
19 O 0.9121 0.4700 0.1877  2 Ti 1.92-2.13, 1 Fe 2.06
20 Ti 0.1211 0.1211 0.6206  6 O 1.94-2.12
21 Fe 0.6263 0.1260 0.1233  6 O 2.02-2.23
22 O 0.8008 0.3329 0.0700  1 Ti 1.88, 1 Fe 2.01
23 Ti 0.6067 0.6067 0.1250  3 O 1.85-1.88
24 Fe 0.1260 0.6263 0.1233  6 O 2.02-2.23
25 O 0.7134 0.7134 0.4283  1 Ti 1.96, 3 Fe 1.99-2.14
26 O 0.8035 0.8035 0.0606  1 Ti 1.83
27 Ti 0.9941 0.9941 0.4961  6 O 1.93-2.12
28 Fe 0.1251 0.6256 0.6256  6 O 2.11-2.23
29 O 0.1771 0.6787 0.9350  1 Ti 1.88
30 Fe 0.8778 0.3682 0.8771  6 O 2.10-2.26
31 Fe 0.3682 0.8778 0.8771  6 O 2.10-2.26
32 O 0.2910 0.2910 0.5727  1 Ti 1.95, 3 Fe 2.03-2.13
33 Ti 0.8356 0.8356 0.9690  4 O 1.83-1.88
34 O 0.4130 0.4130 0.6934  1 Ti 1.98, 3 Fe 2.02-2.11
35 O 0.0890 0.5322 0.8130  2 Ti 1.95-2.09, 1 Fe 2.07
36 O 0.8384 0.8384 0.5577  1 Ti 1.94, 3 Fe 2.07-2.11
37 Fe 0.4157 0.4157 0.2833  4 O 2.01-2.04
38 O 0.3329 0.8008 0.0700  1 Ti 1.88, 1 Fe 2.01
39 O 0.3320 0.3320 0.0644  4 Fe 2.00-2.03
40 O 0.6787 0.1771 0.9350  1 Ti 1.88
41 O 0.5914 0.0375 0.3126  2 Ti 1.94-2.12, 1 Fe 2.04
42 Fe 0.1650 0.1650 0.0323  4 O 2.00-2.04
43 O 0.7164 0.1651 0.4377  2 Ti 1.93-2.13, 1 Fe 2.07
44 O 0.2088 0.2088 0.9303  1 Ti 1.96, 3 Fe 2.04-2.12
45 O 0.9638 0.4123 0.6887  2 Ti 1.94-2.12, 1 Fe 2.07
46 O 0.0865 0.0865 0.8086  1 Ti 1.96, 3 Fe 2.05-2.10
47 Ti 0.3697 0.3697 0.8717  6 O 1.94-2.13
48 Fe 0.8784 0.3776 0.3746  6 O 2.09-2.23
49 Fe 0.6256 0.1251 0.6256  6 O 2.11-2.23
50 O 0.5322 0.0890 0.8130  2 Ti 1.95-2.09, 1 Fe 2.07
51 O 0.6797 0.6797 0.9400  1 Ti 1.86
52 Fe 0.0881 0.0881 0.2186  4 O 2.04-2.06
53 Fe 0.3776 0.8784 0.3746  6 O 2.09-2.23
54 O 0.0423 0.0423 0.3204  1 Ti 1.94, 3 Fe 2.04-2.15
55 O 0.9599 0.9599 0.6792  1 Ti 1.96, 3 Fe 2.02-2.13
56 Ti 0.2440 0.2440 0.7467  6 O 1.94-2.09

Computed properties:
SG ... Cm
Energy of formation ... -2.3508 eV/atom

---

# 7
Computed, not measured: a geometry-optimized MgMn6O8F4 structure at the PBE with a Hubbard U level of DFT.

Unit cell a=5.1093 b=7.6607 c=5.7195 alpha=94.68 beta=97.31 gamma=86.41
Last column: nearest neighbours and their distance in Å.
Sites, in units of the cell vectors:
1 O 0.3002 0.8798 0.1935  3 Mn 1.99-2.01, 1 Mg 2.01
2 Mn 0.5227 0.3460 0.8103  4 O 1.94-2.04, 1 F 2.03
3 Mn 0.9661 0.6455 0.7147  4 O 1.92-2.11, 1 F 2.12
4 Mn 0.9812 0.3226 0.3459  3 O 1.88-1.98, 1 F 2.10
5 O 0.7967 0.4242 0.6434  3 Mn 1.94-2.12
6 F 0.7176 0.0869 0.7612  3 Mn 2.00-2.18
7 O 0.1511 0.8783 0.6787  2 Mn 1.92-2.11, 1 Mg 2.05
8 Mn 0.4570 0.9845 0.5051  4 O 1.95-2.19, 1 F 2.00
9 F 0.8063 0.7780 0.0083  1 Mg 2.00, 1 Mn 2.12
10 Mn 0.4831 0.6430 0.1765  4 O 1.91-2.02
11 O 0.6735 0.7579 0.4758  1 Mg 1.97, 3 Mn 2.01-2.09
12 O 0.3106 0.2260 0.5216  3 Mn 1.95-2.04
13 F 0.2753 0.2267 0.9904  2 Mn 2.02-2.03
14 O 0.2940 0.5624 0.8815  3 Mn 1.91-2.01
15 Mg 0.9702 0.8451 0.3374  4 O 1.97-2.05, 1 F 2.00
16 O 0.7063 0.4321 0.1233  3 Mn 1.94-1.99
17 Mn 0.0577 0.0131 0.9566  3 O 1.92-2.01, 2 F 2.02
18 O 0.8879 0.0946 0.2314  2 Mn 1.88-1.93, 1 Mg 2.05
19 F 0.1427 0.5698 0.3704  3 Mn 2.10-2.30, 1 Mg 2.25

Computed properties:
SG ... P1
Energy of formation ... -2.2544 eV/atom

---

# 8
Computed, not measured: a geometry-optimized Ca2Ta2VO8 structure at the PBE with a Hubbard U level of DFT.

Unit cell a=5.5268 b=10.0693 c=12.6725 alpha=108.33 beta=90.00 gamma=91.43
Last column: nearest neighbours and their distance in Å.
Sites, in units of the cell vectors:
1 O 0.0012 0.3621 0.1218  1 Ta 2.04, 1 Ca 2.24
2 O 0.4069 0.8579 0.9021  2 Ta 2.03-2.11, 1 V 2.23
3 V 0.2488 0.9999 0.8173  6 O 2.19-2.26
4 O 0.1537 0.6295 0.5817  1 Ta 1.93
5 Ta 0.7579 0.2244 0.4818  4 O 1.88-2.04
6 O 0.4016 0.8850 0.1485  1 Ta 1.88
7 Ca 0.7555 0.5830 0.5558  4 O 2.23-2.36
8 O 0.9068 0.8579 0.5277  2 Ta 2.03-2.12, 1 V 2.23
9 O 0.9965 0.6376 0.8789  1 Ta 2.04, 1 Ca 2.24
10 O 0.9016 0.8849 0.2948  1 Ta 1.88
11 O 0.9965 0.6376 0.3789  1 Ta 2.04, 1 Ca 2.24
12 V 0.2488 0.9999 0.3173  6 O 2.19-2.26
13 O 0.0959 0.1149 0.7060  1 Ta 1.88
14 V 0.7488 0.9999 0.1834  6 O 2.19-2.26
15 O 0.5959 0.1148 0.8522  1 Ta 1.88
16 Ta 0.2397 0.7754 0.5189  4 O 1.88-2.04
17 O 0.6537 0.6295 0.7338  1 Ta 1.93
18 Ta 0.7397 0.7753 0.8696  4 O 1.88-2.04
19 O 0.4965 0.6376 0.4408  1 Ta 2.04, 1 Ca 2.24
20 O 0.5012 0.3621 0.0599  1 Ta 2.04, 1 Ca 2.24
21 Ca 0.7422 0.4165 0.2641  4 O 2.23-2.36
22 O 0.5907 0.1419 0.0987  2 Ta 2.03-2.12, 1 V 2.23
23 O 0.3439 0.3703 0.2668  1 Ta 1.93
24 O 0.4965 0.6376 0.9408  1 Ta 2.04, 1 Ca 2.24
25 O 0.4016 0.8850 0.6485  1 Ta 1.88
26 O 0.1537 0.6295 0.0817  1 Ta 1.93
27 Ca 0.2422 0.4168 0.9448  4 O 2.23-2.36
28 O 0.0012 0.3621 0.6218  1 Ta 2.04, 1 Ca 2.24
29 O 0.4069 0.8579 0.4021  2 Ta 2.03-2.11, 1 V 2.23
30 O 0.9068 0.8579 0.0277  2 Ta 2.03-2.12, 1 V 2.23
31 O 0.8440 0.3702 0.9190  1 Ta 1.93
32 Ta 0.7397 0.7753 0.3696  4 O 1.88-2.04
33 O 0.8440 0.3702 0.4190  1 Ta 1.93
34 Ta 0.2579 0.2244 0.1311  4 O 1.88-2.04
35 O 0.5959 0.1148 0.3522  1 Ta 1.88
36 Ca 0.7422 0.4165 0.7641  4 O 2.23-2.36
37 O 0.6537 0.6295 0.2338  1 Ta 1.93
38 O 0.3439 0.3703 0.7668  1 Ta 1.93
39 Ta 0.2579 0.2244 0.6311  4 O 1.88-2.04
40 O 0.9016 0.8849 0.7948  1 Ta 1.88
41 Ca 0.2554 0.5831 0.2365  4 O 2.23-2.36
42 V 0.7488 0.9999 0.6835  6 O 2.19-2.26
43 O 0.0906 0.1417 0.9731  2 Ta 2.03-2.11, 1 V 2.23
44 Ca 0.7555 0.5830 0.0558  4 O 2.23-2.36
45 Ta 0.7579 0.2244 0.9818  4 O 1.88-2.04
46 Ca 0.2422 0.4168 0.4448  4 O 2.23-2.36
47 Ca 0.2554 0.5832 0.7365  4 O 2.23-2.36
48 O 0.0906 0.1417 0.4731  2 Ta 2.03-2.11, 1 V 2.23
49 Ta 0.2397 0.7754 0.0189  4 O 1.88-2.04
50 O 0.0959 0.1149 0.2060  1 Ta 1.88
51 O 0.5012 0.3621 0.5599  1 Ta 2.04, 1 Ca 2.24
52 O 0.5908 0.1419 0.5988  2 Ta 2.03-2.12, 1 V 2.23

Computed properties:
Energy of formation ... -3.2018 eV/atom

---

Values for theoretical density, g/cm3, ordered as above
3.88, 4.88, 6.06, 3.46, 5.91, 4.57, 4.19, 6.16
Values for size of the total moment, μB per cell, ordered as above
1.990, 1.862, 10.000, 18.000, 5.000, 64.000, 24.000, 0.000